A relaxed structure of AsXe2BrOF12. Source: the Materials Project database, functional GGA-PBE.

Calculated values
Size of the total moment = 0.37 μB per cell
Formation energy from the elements = -1481 meV/atom
E = -3.132 eV per atom
Theoretical density = 3.24 Mg/m³

abc: 6.249 14.540 16.159
angles: 90.00 112.57 90.00
Sites, in units of the cell vectors:
As (0.219, 0.232, 0.210)
As (0.219, 0.268, 0.710)
As (0.781, 0.732, 0.290)
As (0.781, 0.768, 0.790)
Xe (0.188, 0.542, 0.195)
Xe (0.188, 0.958, 0.695)
Xe (0.454, 0.667, 0.966)
Xe (0.454, 0.833, 0.466)
Xe (0.546, 0.167, 0.534)
Xe (0.546, 0.333, 0.034)
Xe (0.812, 0.042, 0.305)
Xe (0.812, 0.458, 0.805)
Br (0.330, 0.597, 0.595)
Br (0.330, 0.903, 0.095)
Br (0.670, 0.097, 0.905)
Br (0.670, 0.403, 0.405)
O (0.260, 0.528, 0.512)
O (0.260, 0.972, 0.012)
O (0.740, 0.028, 0.988)
O (0.740, 0.472, 0.488)
F (0.037, 0.593, 0.068)
F (0.037, 0.907, 0.568)
F (0.044, 0.671, 0.343)
F (0.044, 0.829, 0.843)
F (0.089, 0.675, 0.560)
F (0.089, 0.825, 0.060)
F (0.093, 0.200, 0.769)
F (0.093, 0.300, 0.269)
F (0.134, 0.185, 0.622)
F (0.134, 0.315, 0.122)
F (0.212, 0.542, 0.667)
F (0.212, 0.958, 0.167)
F (0.313, 0.151, 0.299)
F (0.313, 0.349, 0.799)
F (0.345, 0.012, 0.829)
F (0.345, 0.488, 0.329)
F (0.354, 0.167, 0.151)
F (0.354, 0.333, 0.651)
F (0.416, 0.541, 0.905)
F (0.416, 0.959, 0.405)
F (0.488, 0.205, 0.763)
F (0.488, 0.295, 0.263)
F (0.499, 0.701, 0.529)
F (0.499, 0.799, 0.029)
F (0.501, 0.201, 0.971)
F (0.501, 0.299, 0.471)
F (0.512, 0.705, 0.737)
F (0.512, 0.795, 0.237)
F (0.584, 0.041, 0.595)
F (0.584, 0.459, 0.095)
F (0.646, 0.667, 0.349)
F (0.646, 0.833, 0.849)
F (0.655, 0.512, 0.671)
F (0.655, 0.988, 0.171)
F (0.687, 0.651, 0.201)
F (0.687, 0.849, 0.701)
F (0.788, 0.042, 0.833)
F (0.788, 0.458, 0.333)
F (0.866, 0.685, 0.878)
F (0.866, 0.815, 0.378)
F (0.907, 0.700, 0.731)
F (0.907, 0.800, 0.231)
F (0.911, 0.175, 0.940)
F (0.911, 0.325, 0.440)
F (0.956, 0.171, 0.157)
F (0.956, 0.329, 0.657)
F (0.963, 0.093, 0.432)
F (0.963, 0.407, 0.932)